Entry 1:
VASP calculation (PBE-GGA) on a relaxed Li3SbS4 crystal.

Cell: 6.856 6.856 6.856 Å, 131.16 131.16 71.56°
Fractional positions:
Li  0.000  0.000  0.000
Li  0.250  0.750  0.500
Li  0.750  0.250  0.500
Sb  0.500  0.500  0.000
S  0.135  0.616  0.000
S  0.384  0.384  0.519
S  0.616  0.135  0.000
S  0.865  0.865  0.481

* relative energy among the computed polymorphs: 5 meV per atom
* largest piezoelectric modulus: 0.18 C/m2
* energy relative to the elements: -1.0948 eV/atom

=====

Entry 2:
VASP calculation (PBE-GGA) on a relaxed Li8Sb2S crystal.

Cell: 7.922 7.922 9.600 Å, 118.94 118.94 61.58°
Fractional positions:
Li  0.064  0.071  0.419
Li  0.071  0.064  0.919
Li  0.127  0.611  0.798
Li  0.230  0.423  0.127
Li  0.230  0.510  0.452
Li  0.389  0.873  0.702
Li  0.423  0.230  0.627
Li  0.490  0.770  0.048
Li  0.510  0.230  0.952
Li  0.577  0.770  0.373
Li  0.611  0.127  0.298
Li  0.770  0.490  0.548
Li  0.770  0.577  0.873
Li  0.873  0.389  0.202
Li  0.929  0.936  0.081
Li  0.936  0.929  0.581
Sb  0.098  0.256  0.756
Sb  0.256  0.098  0.256
Sb  0.744  0.902  0.744
Sb  0.902  0.744  0.244
S  0.401  0.599  0.750
S  0.599  0.401  0.250

* energy relative to the elements: -0.7939 eV/atom

=====

Entry 3:
VASP calculation (PBE-GGA) on a relaxed Li7Sb2S2 crystal.

Cell: 13.191 8.700 7.517 Å, 90.00 90.00 90.00°
Fractional positions:
Li  0.044  0.008  0.169
Li  0.044  0.492  0.169
Li  0.085  0.750  0.758
Li  0.113  0.250  0.811
Li  0.185  0.750  0.051
Li  0.208  0.528  0.585
Li  0.208  0.972  0.585
Li  0.292  0.028  0.085
Li  0.292  0.472  0.085
Li  0.315  0.250  0.551
Li  0.387  0.750  0.311
Li  0.415  0.250  0.258
Li  0.456  0.508  0.669
Li  0.456  0.992  0.669
Li  0.544  0.008  0.331
Li  0.544  0.492  0.331
Li  0.585  0.750  0.742
Li  0.613  0.250  0.689
Li  0.685  0.750  0.449
Li  0.708  0.528  0.915
Li  0.708  0.972  0.915
Li  0.792  0.028  0.415
Li  0.792  0.472  0.415
Li  0.815  0.250  0.949
Li  0.887  0.750  0.189
Li  0.915  0.250  0.242
Li  0.956  0.508  0.831
Li  0.956  0.992  0.831
Sb  0.086  0.750  0.396
Sb  0.099  0.250  0.427
Sb  0.401  0.750  0.927
Sb  0.414  0.250  0.896
Sb  0.586  0.750  0.104
Sb  0.599  0.250  0.073
Sb  0.901  0.750  0.573
Sb  0.914  0.250  0.604
S  0.140  0.518  0.899
S  0.140  0.982  0.899
S  0.360  0.018  0.399
S  0.360  0.482  0.399
S  0.640  0.518  0.601
S  0.640  0.982  0.601
S  0.860  0.018  0.101
S  0.860  0.482  0.101

* relative energy among the computed polymorphs: 26 meV per atom
* energy relative to the elements: -0.9508 eV/atom

=====

Entry 4:
VASP calculation (PBE-GGA) on a relaxed Li3SbS4 crystal.

Cell: 6.467 7.508 6.374 Å, 90.00 109.22 90.00°
Fractional positions:
Li  0.000  0.099  0.250
Li  0.000  0.357  0.750
Li  0.000  0.643  0.250
Li  0.000  0.901  0.750
Li  0.500  0.113  0.750
Li  0.500  0.887  0.250
Sb  0.500  0.363  0.250
Sb  0.500  0.637  0.750
S  0.249  0.136  0.022
S  0.249  0.864  0.522
S  0.265  0.390  0.500
S  0.265  0.610  0.000
S  0.735  0.390  0.000
S  0.735  0.610  0.500
S  0.751  0.136  0.478
S  0.751  0.864  0.978

* relative energy among the computed polymorphs: 62 meV per atom
* energy relative to the elements: -1.0378 eV/atom